Below is a geometry-optimized NiP2H2O7 structure, with properties calculated at the PBE+U level.

formation enthalpy at 0 K: -2.123 eV/atom

Cell: 9.2858 12.7979 9.6840 Å, 90.00 106.93 90.00°
With the nearest neighbours (Å) after each atom.
Space group P2_1/c (No. 14)
Unique sites:
1 Ni 0.2480 0.0884 0.4966 [4 per cell]  6 O 1.98-2.14
2 Ni 0.2501 0.2453 0.7516 [4 per cell]  6 O 2.05-2.13
3 P 0.0204 0.2076 0.9385 [4 per cell]  4 O 1.51-1.58
4 P 0.0396 0.0390 0.7192 [4 per cell]  4 O 1.49-1.61
5 P 0.4767 0.0542 0.2886 [4 per cell]  4 O 1.51-1.62
6 P 0.4873 0.2190 0.0675 [4 per cell]  4 O 1.52-1.59
7 H 0.0473 0.6067 0.3355 [4 per cell]  1 O 1.01
8 H 0.2005 0.7444 0.1979 [4 per cell]  1 O 0.98
9 H 0.3497 0.6632 0.9678 [4 per cell]  1 O 0.99
10 H 0.4754 0.5891 0.6577 [4 per cell]  1 O 1.01
11 O 0.9999 0.1033 0.8469 [4 per cell]  2 P 1.58-1.61
12 O 0.0743 0.1797 0.0969 [4 per cell]  1 P 1.51
13 O 0.1058 0.5206 0.8944 [4 per cell]  1 P 1.49
14 O 0.1176 0.5616 0.2997 [4 per cell]  1 H 1.01
15 O 0.1228 0.2186 0.3864 [4 per cell]  1 P 1.53
16 O 0.1447 0.7477 0.0950 [4 per cell]  1 H 0.98
17 O 0.1576 0.1023 0.6729 [4 per cell]  1 P 1.53
18 O 0.3495 0.1124 0.3267 [4 per cell]  1 P 1.53
19 O 0.3542 0.7260 0.9087 [4 per cell]  1 H 0.99
20 O 0.3795 0.2096 0.6161 [4 per cell]  1 P 1.53
21 O 0.3892 0.5327 0.0834 [4 per cell]  1 P 1.51
22 O 0.4071 0.5419 0.6934 [4 per cell]  1 H 1.01
23 O 0.4237 0.1724 0.9178 [4 per cell]  1 P 1.52
24 O 0.4597 0.6290 0.3158 [4 per cell]  2 P 1.59-1.62